1.
Density functional theory data (r2SCAN) for crystalline LiGa5O8 at its relaxed geometry.

Computed properties:
- space-group type = Pmna, No. 53
- energy of formation (eV per atom) = -2.155
- spin magnetization (μB per formula unit) = 0.000
- distance to the lowest polymorph of the same formula (meV/atom) = 6
- crystal system = orthorhombic

Unit cell a=5.7745 b=5.8677 c=8.1897 alpha=90.00 beta=90.00 gamma=90.00
With the nearest neighbours (Å) after each atom.
Element x y z (fractional)
Li1 0.5000 0.5000 0.0000  6 O 2.05-2.08
Li2 0.5000 0.0000 0.5000  6 O 2.05-2.08
Ga1 0.7567 0.0000 0.8836  4 O 1.86-1.90
Ga2 0.0000 0.0000 0.5000  6 O 1.97-2.00
Ga3 0.2695 0.7500 0.7500  6 O 1.95-2.06
Ga4 0.7305 0.2500 0.2500  6 O 1.95-2.06
Ga5 0.2433 0.0000 0.1164  4 O 1.86-1.90
Ga6 0.7567 0.5000 0.6164  4 O 1.86-1.90
Ga7 0.7305 0.7500 0.2500  6 O 1.95-2.06
Ga8 0.2695 0.2500 0.7500  6 O 1.95-2.06
Ga9 0.0000 0.5000 0.0000  6 O 1.97-2.00
Ga10 0.2433 0.5000 0.3836  4 O 1.86-1.90
O1 0.9810 0.0000 0.2568  4 Ga 1.90-2.06
O2 0.2407 0.7377 0.9884  3 Ga 1.86-1.97, 1 Li 2.05
O3 0.4910 0.5000 0.7458  3 Ga 1.86-1.95, 1 Li 2.08
O4 0.7593 0.2377 0.4884  3 Ga 1.86-1.97, 1 Li 2.05
O5 0.5090 0.5000 0.2542  3 Ga 1.86-1.95, 1 Li 2.08
O6 0.2407 0.7623 0.5116  3 Ga 1.86-1.97, 1 Li 2.05
O7 0.0190 0.0000 0.7432  4 Ga 1.90-2.06
O8 0.7593 0.2623 0.0116  3 Ga 1.86-1.97, 1 Li 2.05
O9 0.2407 0.2377 0.5116  3 Ga 1.86-1.97, 1 Li 2.05
O10 0.9810 0.5000 0.2432  4 Ga 1.90-2.06
O11 0.7593 0.7377 0.0116  3 Ga 1.86-1.97, 1 Li 2.05
O12 0.4910 0.0000 0.7542  3 Ga 1.86-1.95, 1 Li 2.08
O13 0.2407 0.2623 0.9884  3 Ga 1.86-1.97, 1 Li 2.05
O14 0.5090 0.0000 0.2458  3 Ga 1.86-1.95, 1 Li 2.08
O15 0.7593 0.7623 0.4884  3 Ga 1.86-1.97, 1 Li 2.05
O16 0.0190 0.5000 0.7568  4 Ga 1.90-2.06

***

2.
Density functional theory data (r2SCAN) for crystalline ErVO3 at its relaxed geometry.

Computed properties:
- space-group type = Pnma, No. 62
- energy of formation (eV per atom) = -3.346
- spin magnetization (μB per formula unit) = 2.000
- crystal system = orthorhombic

Unit cell a=5.2098 b=5.6449 c=7.4978 alpha=90.00 beta=90.00 gamma=90.00
With the nearest neighbours (Å) after each atom.
Element x y z (fractional)
Er1 0.4792 0.4274 0.7500  4 O 2.19-2.26
Er2 0.9792 0.0726 0.2500  4 O 2.19-2.26
Er3 0.0208 0.9274 0.7500  4 O 2.19-2.26
Er4 0.5208 0.5726 0.2500  4 O 2.19-2.26
V1 0.0000 0.5000 0.5000  6 O 1.98-2.07
V2 0.5000 0.0000 0.5000  6 O 1.98-2.07
V3 0.5000 0.0000 0.0000  6 O 1.98-2.07
V4 0.0000 0.5000 0.0000  6 O 1.98-2.07
O1 0.6919 0.3116 0.4405  2 V 1.98-2.07
O2 0.1919 0.1884 0.5595  2 V 1.98-2.07
O3 0.8081 0.8116 0.0595  2 V 1.98-2.07
O4 0.3081 0.6884 0.9405  2 V 1.98-2.07
O5 0.3081 0.6884 0.5595  2 V 1.98-2.07
O6 0.8081 0.8116 0.4405  2 V 1.98-2.07
O7 0.1919 0.1884 0.9405  2 V 1.98-2.07
O8 0.6919 0.3116 0.0595  2 V 1.98-2.07
O9 0.1210 0.4518 0.2500  2 V 2.00, 1 Er 2.19
O10 0.6210 0.0482 0.7500  2 V 2.00, 1 Er 2.19
O11 0.3790 0.9518 0.2500  2 V 2.00, 1 Er 2.19
O12 0.8790 0.5482 0.7500  2 V 2.00, 1 Er 2.19

***

3.
Density functional theory data (r2SCAN) for crystalline NiBi2O6 at its relaxed geometry.

Computed properties:
- energy of formation (eV per atom) = -0.989
- spin magnetization (μB per formula unit) = 0.000

Unit cell a=4.8304 b=9.6604 c=9.7642 alpha=90.00 beta=90.00 gamma=90.00
With the nearest neighbours (Å) after each atom.
Element x y z (fractional)
Ni1 0.0001 0.5000 0.0000  6 O 2.02-2.03
Ni2 0.5000 0.7500 0.5000  6 O 2.02
Ni3 0.0000 0.0000 0.0000  6 O 2.02-2.03
Ni4 0.5000 0.2500 0.5000  6 O 2.02
Bi1 0.0000 0.0001 0.3333  6 O 2.13-2.15
Bi2 0.0000 0.5000 0.3333  6 O 2.13-2.15
Bi3 0.0000 0.0001 0.6667  6 O 2.13-2.15
Bi4 0.0000 0.5000 0.6667  6 O 2.13-2.15
Bi5 0.5000 0.2500 0.1668  6 O 2.13-2.15
Bi6 0.5000 0.7499 0.1668  6 O 2.13-2.15
Bi7 0.5000 0.2500 0.8332  6 O 2.13-2.15
Bi8 0.5000 0.7499 0.8332  6 O 2.13-2.15
O1 0.2040 0.3976 0.5000  1 Ni 2.02, 2 Bi 2.14
O2 0.2040 0.8976 0.5000  1 Ni 2.02, 2 Bi 2.14
O3 0.2954 0.1479 0.0000  1 Ni 2.02, 2 Bi 2.15
O4 0.2954 0.6478 0.0000  1 Ni 2.02, 2 Bi 2.15
O5 0.7039 0.3524 0.0000  1 Ni 2.02, 2 Bi 2.14
O6 0.7040 0.8523 0.0000  1 Ni 2.02, 2 Bi 2.14
O7 0.7954 0.1023 0.5000  1 Ni 2.02, 2 Bi 2.15
O8 0.7954 0.6022 0.5000  1 Ni 2.02, 2 Bi 2.15
O9 0.1881 0.4055 0.1601  1 Ni 2.03, 2 Bi 2.13
O10 0.1882 0.9055 0.1601  1 Ni 2.03, 2 Bi 2.13
O11 0.1881 0.4055 0.8399  1 Ni 2.03, 2 Bi 2.13
O12 0.1882 0.9055 0.8399  1 Ni 2.03, 2 Bi 2.13
O13 0.3121 0.1556 0.3402  1 Ni 2.02, 2 Bi 2.13
O14 0.3122 0.6555 0.3401  1 Ni 2.02, 2 Bi 2.13
O15 0.3121 0.1556 0.6598  1 Ni 2.02, 2 Bi 2.13
O16 0.3122 0.6555 0.6599  1 Ni 2.02, 2 Bi 2.13
O17 0.6881 0.3445 0.3400  1 Ni 2.02, 2 Bi 2.13
O18 0.6881 0.8445 0.3400  1 Ni 2.02, 2 Bi 2.13
O19 0.6881 0.3445 0.6600  1 Ni 2.02, 2 Bi 2.13
O20 0.6881 0.8445 0.6600  1 Ni 2.02, 2 Bi 2.13
O21 0.8121 0.0945 0.1599  1 Ni 2.02, 2 Bi 2.13
O22 0.8121 0.5944 0.1599  1 Ni 2.02, 2 Bi 2.13
O23 0.8121 0.0945 0.8401  1 Ni 2.02, 2 Bi 2.13
O24 0.8121 0.5944 0.8401  1 Ni 2.02, 2 Bi 2.13

***

4.
Density functional theory data (r2SCAN) for crystalline CeBPt4 at its relaxed geometry.

Computed properties:
- space-group type = P6/mmm, No. 191
- energy of formation (eV per atom) = -0.857
- spin magnetization (μB per formula unit) = 0.059
- crystal system = hexagonal

Unit cell a=5.4539 b=5.4539 c=7.6799 alpha=90.00 beta=90.00 gamma=120.00
With the nearest neighbours (Å) after each atom.
Element x y z (fractional)
Ce1 0.0000 0.0000 0.5000  12 Pt 3.13, 6 B 3.15
Ce2 0.0000 0.0000 0.0000  6 Pt 3.15
B1 0.6667 0.3333 0.5000  6 Pt 2.20
B2 0.3333 0.6667 0.5000  6 Pt 2.20
Pt1 0.6667 0.3333 0.0000  6 Pt 2.79
Pt2 0.5000 0.5000 0.2993  2 B 2.20
Pt3 0.5000 0.0000 0.2993  2 B 2.20
Pt4 0.5000 0.0000 0.7007  2 B 2.20
Pt5 0.5000 0.5000 0.7007  2 B 2.20
Pt6 0.0000 0.5000 0.7007  2 B 2.20
Pt7 0.3333 0.6667 0.0000  6 Pt 2.79
Pt8 0.0000 0.5000 0.2993  2 B 2.20